Entry from the Materials Project: an optimized crystal structure of Zr2O (r2SCAN).

Geometry as POSCAR:
```
Zr2O
1.0
-5.191 1.963 1.061
1.372 -1.686 -5.215
-3.188 -9.666 2.287
Zr O
12 6
Cartesian
-2.090 -2.286 -0.862
-0.360 -1.040 -4.859
0.113 -3.487 -2.868
-4.116 -4.690 -1.582
-3.660 -7.150 0.329
-1.141 -5.447 -0.635
-2.012 -5.884 -3.696
0.453 -0.570 -1.735
-2.549 0.176 -2.770
-1.475 -8.366 -1.765
-2.826 -2.774 -3.951
-4.479 -7.618 -2.793
-2.832 -6.584 -1.677
-4.199 -2.878 -0.174
-1.191 -1.606 -2.855
-2.012 -4.094 -2.265
-5.793 -7.711 0.970
-6.609 -8.181 -2.153
```

Values from the calculation:
Volume in Å³/atom: 16.02
Space-group type: P312
Energy relative to the elements in meV per atom: -1982
Size of the total moment in μB per formula unit: 0.00
Crystal system: trigonal